# CeBi

An optimized crystal structure of CeBi (meta-GGA r2SCAN, the Materials Project).

Its size of the total moment is 0.51 μB/atom. The total energy is -366.70 eV/cell. The formation energy is -1166.0 meV per atom.

The structure belongs to space group Fm-3m (No. 225); the cell edges are 6.602, 6.602 and 6.602 Å and the angles 90.00°, 90.00° and 90.00°. Symmetry generates all atoms from Ce at (0.000, 0.000, 0.000) and Bi at (0.000, 0.000, 0.500).